A relaxed structure of ZnFeF6. Source: the Materials Project database, functional PBE with a Hubbard U.

Values from the calculation:
The value obtained for the energy of formation is -2326 meV/atom.

Cell and atoms, written as extended XYZ:
```
8
Lattice="-4.693 -1.266 -2.423 -2.778 -4.476 1.322 -4.737 0.258 2.644" Properties=species:S:1:pos:R:3 pbc="T T T"
F -5.216 -2.397 -0.981
F -5.574 -0.927 1.409
F -6.633 -4.556 0.135
F -4.407 -3.502 1.494
F -6.992 -3.086 2.524
F -7.801 -1.981 0.050
Fe 0.000 0.000 0.000
Zn -6.104 -2.742 0.772
```